Model P:
Nd2Si3: relaxed, PBE.

The mass density is 5.3 g/cm³. The total magnetization comes out at 0.0 μB/f.u.

It has space group P-6m2 (No. 187), with a = 4.0600 Å, b = 4.0600 Å, c = 8.2526 Å, α = 90.00°, β = 90.00° and γ = 120.00°. The asymmetric unit holds Nd at (0.0000, 0.0000, 0.2465), Si at (0.3333, 0.6667, 0.5000), Si at (0.6667, 0.3333, 0.0000) and Si at (0.6667, 0.3333, 0.5000).

***

Model Q:
Nd2Si3: relaxed, PBE.

The mass density is 5.3 g/cm³.

It has space group Imm2 (No. 44), with a = 3.9443 Å, b = 4.2120 Å, c = 14.1565 Å, α = 90.00°, β = 90.00° and γ = 90.00°. The asymmetric unit holds Nd at (0.0000, 0.0000, 0.0000), Nd at (0.0000, 0.5000, 0.2534), Si at (0.0000, 0.0000, 0.4247), Si at (0.0000, 0.5000, 0.6626) and Si at (0.0000, 0.5000, 0.8280).

***

Which structure is the least stable? The one labeled model P.